Compound: Er2P4O13
Source: the Materials Project
Functional: PBE-GGA
Structure: relaxed

a = 8.691 Å, b = 9.733 Å, c = 14.032 Å
α = 90.00°, β = 105.17°, γ = 90.00°
Fractional positions:
Er1 0.213 0.004 0.012
Er2 0.213 0.496 0.512
Er3 0.285 0.001 0.490
Er4 0.285 0.499 0.990
Er5 0.715 0.501 0.010
Er6 0.715 0.999 0.510
Er7 0.787 0.504 0.488
Er8 0.787 0.996 0.988
P1 0.030 0.219 0.595
P2 0.030 0.281 0.095
P3 0.114 0.245 0.314
P4 0.114 0.255 0.814
P5 0.236 0.731 0.184
P6 0.236 0.769 0.684
P7 0.460 0.719 0.401
P8 0.460 0.781 0.901
P9 0.540 0.219 0.099
P10 0.540 0.281 0.599
P11 0.764 0.231 0.316
P12 0.764 0.269 0.816
P13 0.886 0.745 0.186
P14 0.886 0.755 0.686
P15 0.970 0.719 0.905
P16 0.970 0.781 0.405
O1 0.011 0.129 0.059
O2 0.011 0.371 0.559
O3 0.068 0.691 0.207
O4 0.068 0.809 0.707
O5 0.125 0.137 0.538
O6 0.125 0.363 0.038
O7 0.126 0.652 0.902
O8 0.126 0.848 0.402
O9 0.139 0.124 0.874
O10 0.139 0.223 0.708
O11 0.139 0.277 0.208
O12 0.139 0.376 0.374
O13 0.226 0.128 0.355
O14 0.226 0.372 0.855
O15 0.228 0.625 0.643
O16 0.228 0.875 0.143
O17 0.281 0.619 0.123
O18 0.281 0.881 0.623
O19 0.363 0.632 0.455
O20 0.363 0.729 0.287
O21 0.363 0.771 0.787
O22 0.363 0.868 0.955
O23 0.382 0.153 0.098
O24 0.382 0.347 0.598
O25 0.482 0.630 0.941
O26 0.482 0.870 0.441
O27 0.518 0.130 0.559
O28 0.518 0.370 0.059
O29 0.618 0.653 0.402
O30 0.618 0.847 0.902
O31 0.637 0.132 0.045
O32 0.637 0.229 0.213
O33 0.637 0.271 0.713
O34 0.637 0.368 0.545
O35 0.719 0.119 0.377
O36 0.719 0.381 0.877
O37 0.772 0.125 0.857
O38 0.772 0.375 0.357
O39 0.774 0.628 0.145
O40 0.774 0.872 0.645
O41 0.861 0.624 0.626
O42 0.861 0.723 0.792
O43 0.861 0.777 0.292
O44 0.861 0.876 0.126
O45 0.874 0.152 0.598
O46 0.874 0.348 0.098
O47 0.875 0.637 0.962
O48 0.875 0.863 0.462
O49 0.932 0.191 0.293
O50 0.932 0.309 0.793
O51 0.989 0.629 0.441
O52 0.989 0.871 0.941

Computed properties:
The calculation puts the distance to the lowest polymorph of the same formula at 0.0055 eV per atom. As for the symmetry: P2_1/c (14). The spin magnetization is 0.000 μB per cell.



Compound: Er2P4O13
Source: the Materials Project
Functional: PBE-GGA
Structure: relaxed

a = 8.782 Å, b = 9.614 Å, c = 13.899 Å
α = 90.00°, β = 106.21°, γ = 90.00°
Fractional positions:
Er1 0.027 0.003 0.221
Er2 0.027 0.497 0.721
Er3 0.447 0.501 0.738
Er4 0.447 0.999 0.238
Er5 0.553 0.001 0.762
Er6 0.553 0.499 0.262
Er7 0.973 0.503 0.279
Er8 0.973 0.997 0.779
P1 0.145 0.240 0.437
P2 0.145 0.260 0.937
P3 0.217 0.205 0.657
P4 0.217 0.295 0.157
P5 0.288 0.730 0.346
P6 0.288 0.770 0.846
P7 0.496 0.250 0.440
P8 0.496 0.250 0.940
P9 0.504 0.750 0.060
P10 0.504 0.750 0.560
P11 0.712 0.230 0.154
P12 0.712 0.270 0.654
P13 0.783 0.705 0.843
P14 0.783 0.795 0.343
P15 0.855 0.740 0.063
P16 0.855 0.760 0.563
O1 0.040 0.134 0.913
O2 0.040 0.366 0.413
O3 0.111 0.122 0.363
O4 0.111 0.378 0.863
O5 0.119 0.129 0.715
O6 0.119 0.371 0.215
O7 0.130 0.177 0.540
O8 0.130 0.323 0.040
O9 0.138 0.663 0.359
O10 0.138 0.837 0.859
O11 0.219 0.134 0.173
O12 0.219 0.366 0.673
O13 0.253 0.636 0.780
O14 0.253 0.864 0.280
O15 0.328 0.205 0.960
O16 0.328 0.295 0.460
O17 0.383 0.148 0.676
O18 0.383 0.352 0.176
O19 0.390 0.628 0.309
O20 0.390 0.872 0.809
O21 0.392 0.709 0.953
O22 0.392 0.791 0.453
O23 0.435 0.625 0.599
O24 0.435 0.875 0.099
O25 0.470 0.120 0.377
O26 0.470 0.380 0.877
O27 0.530 0.620 0.123
O28 0.530 0.880 0.623
O29 0.565 0.125 0.901
O30 0.565 0.375 0.401
O31 0.608 0.209 0.547
O32 0.608 0.291 0.047
O33 0.610 0.128 0.191
O34 0.610 0.372 0.691
O35 0.617 0.648 0.824
O36 0.617 0.852 0.324
O37 0.672 0.705 0.540
O38 0.672 0.795 0.040
O39 0.747 0.136 0.720
O40 0.747 0.364 0.220
O41 0.781 0.634 0.327
O42 0.781 0.866 0.827
O43 0.862 0.163 0.141
O44 0.862 0.337 0.641
O45 0.870 0.677 0.960
O46 0.870 0.823 0.460
O47 0.881 0.629 0.785
O48 0.881 0.871 0.285
O49 0.889 0.622 0.137
O50 0.889 0.878 0.637
O51 0.960 0.634 0.587
O52 0.960 0.866 0.087

Computed properties:
The calculation puts the distance to the lowest polymorph of the same formula at 0.0000 eV per atom. As for the symmetry: P2_1/c (14). The spin magnetization is 0.000 μB per cell.



Compound: ErPO4
Source: the Materials Project
Functional: PBE-GGA
Structure: relaxed

a = 5.740 Å, b = 5.740 Å, c = 5.740 Å
α = 105.96°, β = 105.96°, γ = 116.75°
Fractional positions:
Er1 0.375 0.625 0.750
Er2 0.625 0.375 0.250
P1 0.125 0.875 0.250
P2 0.875 0.125 0.750
O1 0.139 0.713 0.425
O2 0.212 0.287 0.925
O3 0.287 0.212 0.425
O4 0.287 0.861 0.075
O5 0.713 0.139 0.925
O6 0.713 0.788 0.575
O7 0.788 0.713 0.075
O8 0.861 0.287 0.575

Computed properties:
As for the symmetry: I4_1/amd (141).



no.,energy with MP2020 corrections (eV/cell),theoretical density (g cm⁻³),DFT formation energy (eV/atom)
1,-620.1,3.86,-3.153
2,-620.5,3.93,-3.159
3,-101.7,6.06,-3.513